CaVO3: relaxed, PBE+U.

Unit cell a=3.830 b=3.830 c=3.830 alpha=90.00 beta=90.00 gamma=90.00
Fractional positions:
Ca  0.000  0.000  0.000
V  0.500  0.500  0.500
O  0.000  0.500  0.500
O  0.500  0.000  0.500
O  0.500  0.500  0.000

Values from the calculation:
Formation energy from the elements = -273.2 kJ/mol of atoms
Space group = Pm-3m, No. 221

=====

Li4Mn3Co3Sn2O16: relaxed, PBE+U.

Unit cell a=5.810 b=5.810 c=9.638 alpha=90.12 beta=90.12 gamma=60.16
Fractional positions:
Li  0.000  0.000  0.000
Li  0.002  0.002  0.502
Li  0.336  0.336  0.400
Li  0.667  0.667  0.895
Mn  0.172  0.172  0.722
Mn  0.341  0.834  0.223
Mn  0.834  0.341  0.223
Co  0.172  0.663  0.722
Co  0.663  0.172  0.722
Co  0.832  0.832  0.222
Sn  0.339  0.339  0.998
Sn  0.673  0.673  0.502
O  0.002  0.002  0.315
O  0.003  0.003  0.814
O  0.034  0.486  0.839
O  0.162  0.162  0.110
O  0.163  0.689  0.110
O  0.318  0.847  0.610
O  0.336  0.336  0.620
O  0.485  0.485  0.837
O  0.486  0.034  0.839
O  0.517  0.970  0.339
O  0.519  0.519  0.340
O  0.668  0.668  0.118
O  0.689  0.163  0.110
O  0.847  0.318  0.610
O  0.848  0.848  0.610
O  0.970  0.517  0.339

Values from the calculation:
Formation energy from the elements = -183.1 kJ/mol of atoms
Relative energy among the computed polymorphs = 6 meV per atom
Space group = Cm, No. 8

=====

FeOF: relaxed, PBE+U.

Unit cell a=6.666 b=6.666 c=3.067 alpha=90.00 beta=90.00 gamma=90.00
Fractional positions:
Fe  0.228  0.765  0.000
Fe  0.235  0.228  0.500
Fe  0.765  0.772  0.500
Fe  0.772  0.235  0.000
O  0.051  0.742  0.500
O  0.258  0.051  0.000
O  0.742  0.949  0.000
O  0.949  0.258  0.500
F  0.262  0.446  0.000
F  0.446  0.738  0.500
F  0.554  0.262  0.500
F  0.738  0.554  0.000

Values from the calculation:
Formation energy from the elements = -203.9 kJ/mol of atoms
Space group = P4_2/m, No. 84

=====

Uncorrected energy in eV per cell, matching the order above: -36.3, -175.9, -73.1